Entry 1:
! V2P2H4O11, relaxed, DFT PBE+U; values from VASP
&SYSTEM
  ibrav = 0, nat = 76, ntyp = 4
/
ATOMIC_SPECIES
V 50.94 V.upf
P 30.97 P.upf
H 1.01 H.upf
O 16.00 O.upf
CELL_PARAMETERS angstrom
11.045 0.000 0.000
0.000 7.495 0.000
-5.637 0.000 9.944
ATOMIC_POSITIONS angstrom
V 0.536 0.469 3.752
V -2.282 3.279 8.724
V -2.098 0.241 8.680
V 0.721 3.507 3.708
V 4.687 3.988 6.236
V 7.506 7.254 1.264
V 7.690 4.216 1.220
V 4.872 7.026 6.192
P -4.679 5.524 8.768
P -1.861 5.718 3.796
P 4.570 5.543 0.991
P 1.751 5.699 5.963
P 3.657 1.796 3.981
P 0.838 1.951 8.953
P 7.268 1.776 6.148
P 10.087 1.971 1.176
H 1.077 1.810 0.113
H -1.742 1.937 5.085
H -2.264 4.540 6.411
H 0.554 6.702 1.439
H 3.118 1.828 0.900
H 0.299 1.919 5.872
H 3.098 4.962 2.544
H 0.279 6.280 7.516
H 5.128 1.215 2.428
H 2.310 2.532 7.400
H 5.109 5.575 4.072
H 2.290 5.667 9.044
H 4.854 0.793 8.505
H 7.672 2.954 3.533
H 7.150 5.557 4.859
H 4.331 5.685 9.831
O 0.057 1.672 0.005
O -2.762 2.076 4.977
O -4.000 4.179 9.023
O -1.182 7.063 4.051
O -0.945 4.511 3.745
O -3.764 6.731 8.717
O -2.992 1.691 7.500
O -0.174 2.056 2.528
O -1.896 4.142 7.247
O 0.923 7.100 2.275
O 2.651 1.841 0.027
O -0.167 1.907 4.999
O 1.695 4.285 2.622
O -1.124 6.957 7.594
O 4.175 4.317 0.164
O 1.356 6.925 5.136
O 2.098 1.833 3.839
O -0.720 1.914 8.811
O 1.273 4.370 5.396
O 4.091 6.872 0.424
O 4.036 5.370 2.463
O 1.218 5.872 7.435
O 4.190 1.622 2.509
O 1.371 2.125 7.481
O 1.316 0.622 9.520
O 4.135 3.125 4.548
O 6.128 5.581 1.133
O 3.309 5.661 6.105
O 4.051 0.569 4.808
O 1.233 3.178 9.780
O 6.531 0.538 2.350
O 3.713 3.210 7.322
O 5.575 5.588 4.945
O 2.756 5.654 9.917
O 4.485 0.395 7.669
O 7.304 3.352 2.697
O 5.581 5.438 7.416
O 8.400 5.804 2.444
O 9.172 0.764 1.227
O 6.353 2.984 6.199
O 6.590 0.432 5.893
O 9.408 3.315 0.921
O 8.170 5.419 4.967
O 5.351 5.823 9.939
! V (Å³/cell): 823.1
! Uncorrected energy (eV/atom): -6.69
! Crystal system: monoclinic
! SG: No. 14
! Calculated formation energy (kJ/mol of atoms): -208.2

Entry 2:
! Mn4Be3Ge3SeO12, relaxed, DFT PBE+U; values from VASP
&SYSTEM
  ibrav = 0, nat = 46, ntyp = 5
/
ATOMIC_SPECIES
Mn 54.94 Mn.upf
Be 9.01 Be.upf
Ge 72.64 Ge.upf
Se 78.96 Se.upf
O 16.00 O.upf
CELL_PARAMETERS angstrom
8.616 0.000 0.000
0.000 8.616 0.000
0.000 0.000 8.616
ATOMIC_POSITIONS angstrom
Mn 1.498 1.498 1.498
Mn 1.498 7.117 7.117
Mn 2.809 2.809 5.806
Mn 2.809 5.806 2.809
Mn 5.806 2.809 2.809
Mn 5.806 5.806 5.806
Mn 7.117 1.498 7.117
Mn 7.117 7.117 1.498
Be 0.000 2.154 4.308
Be 0.000 6.462 4.308
Be 2.154 4.308 0.000
Be 4.308 0.000 2.154
Be 4.308 0.000 6.462
Be 6.462 4.308 0.000
Ge 0.000 4.308 2.154
Ge 0.000 4.308 6.462
Ge 2.154 0.000 4.308
Ge 4.308 2.154 0.000
Ge 4.308 6.462 0.000
Ge 6.462 0.000 4.308
Se 0.000 0.000 0.000
Se 4.308 4.308 4.308
O 0.755 3.040 5.480
O 0.755 5.576 3.136
O 1.172 1.268 3.553
O 1.172 7.348 5.063
O 1.268 3.553 1.172
O 1.268 5.063 7.444
O 3.040 3.136 7.861
O 3.040 5.480 0.755
O 3.136 0.755 5.576
O 3.136 7.861 3.040
O 3.553 1.172 1.268
O 3.553 7.444 7.348
O 5.063 1.172 7.348
O 5.063 7.444 1.268
O 5.480 0.755 3.040
O 5.480 7.861 5.576
O 5.576 3.136 0.755
O 5.576 5.480 7.861
O 7.348 3.553 7.444
O 7.348 5.063 1.172
O 7.444 1.268 5.063
O 7.444 7.348 3.553
O 7.861 3.040 3.136
O 7.861 5.576 5.480
! V (Å³/cell): 639.6
! Uncorrected energy (eV/atom): -7.04
! Crystal system: cubic
! SG: No. 218
! Calculated formation energy (kJ/mol of atoms): -219.5

Entry 3:
! Sr2ZrMoO6, relaxed, DFT PBE+U; values from VASP
&SYSTEM
  ibrav = 0, nat = 10, ntyp = 4
/
ATOMIC_SPECIES
Sr 87.62 Sr.upf
Zr 91.22 Zr.upf
Mo 95.94 Mo.upf
O 16.00 O.upf
CELL_PARAMETERS angstrom
4.125 0.000 0.000
0.000 4.125 0.000
0.000 0.000 8.376
ATOMIC_POSITIONS angstrom
Sr 0.000 0.000 2.084
Sr 0.000 0.000 6.292
Zr 2.063 2.063 0.000
Mo 2.063 2.063 4.188
O 0.000 2.063 0.000
O 0.000 2.063 4.188
O 2.063 0.000 0.000
O 2.063 0.000 4.188
O 2.063 2.063 2.108
O 2.063 2.063 6.268
! V (Å³/cell): 142.5
! Uncorrected energy (eV/atom): -7.58
! Crystal system: tetragonal
! SG: No. 123
! Calculated formation energy (kJ/mol of atoms): -295.9